[1]
Material: RbVBP2HO9
Method: DFT, GGA+U
State: optimized geometry

Unit cell a=8.472 b=9.539 c=9.825 alpha=77.59 beta=90.00 gamma=90.00
Element x y z (fractional)
Rb 0.399 0.811 0.562
Rb 0.101 0.811 0.062
Rb 0.899 0.189 0.938
Rb 0.601 0.189 0.438
V 0.652 0.792 0.935
V 0.848 0.792 0.435
V 0.152 0.208 0.565
V 0.348 0.208 0.065
B 0.057 0.666 0.696
B 0.443 0.666 0.196
B 0.557 0.334 0.804
B 0.943 0.334 0.304
P 0.935 0.925 0.709
P 0.565 0.925 0.209
P 0.740 0.578 0.718
P 0.760 0.578 0.218
P 0.240 0.422 0.782
P 0.260 0.422 0.282
P 0.435 0.075 0.791
P 0.065 0.075 0.291
H 0.084 0.608 0.502
H 0.416 0.608 0.002
H 0.584 0.392 0.998
H 0.916 0.392 0.498
O 0.513 0.927 0.805
O 0.844 0.897 0.848
O 0.833 0.913 0.583
O 0.987 0.927 0.305
O 0.656 0.897 0.348
O 0.074 0.809 0.728
O 0.667 0.913 0.083
O 0.426 0.809 0.228
O 0.630 0.653 0.804
O 0.050 0.690 0.539
O 0.720 0.634 0.561
O 0.917 0.587 0.762
O 0.204 0.588 0.745
O 0.870 0.653 0.304
O 0.450 0.690 0.039
O 0.780 0.634 0.061
O 0.583 0.587 0.262
O 0.296 0.588 0.245
O 0.704 0.412 0.755
O 0.417 0.413 0.738
O 0.220 0.366 0.939
O 0.550 0.310 0.961
O 0.130 0.347 0.696
O 0.796 0.412 0.255
O 0.083 0.413 0.238
O 0.280 0.366 0.439
O 0.950 0.310 0.461
O 0.370 0.347 0.196
O 0.574 0.191 0.772
O 0.333 0.087 0.917
O 0.926 0.191 0.272
O 0.344 0.103 0.652
O 0.013 0.073 0.695
O 0.167 0.087 0.417
O 0.156 0.103 0.152
O 0.487 0.073 0.195



[2]
Material: HfNi5B2O10
Method: DFT, GGA+U
State: optimized geometry

Unit cell a=6.162 b=9.399 c=12.413 alpha=90.00 beta=90.00 gamma=90.00
Element x y z (fractional)
Hf 0.250 0.741 0.116
Hf 0.750 0.759 0.616
Hf 0.250 0.241 0.384
Hf 0.750 0.259 0.884
Ni 0.995 0.001 0.218
Ni 0.750 0.993 0.003
Ni 0.750 0.238 0.386
Ni 0.505 0.001 0.218
Ni 0.005 0.499 0.718
Ni 0.250 0.762 0.614
Ni 0.505 0.501 0.282
Ni 0.995 0.501 0.282
Ni 0.005 0.999 0.782
Ni 0.495 0.499 0.718
Ni 0.495 0.999 0.782
Ni 0.500 0.500 0.000
Ni 0.250 0.262 0.886
Ni 0.250 0.507 0.503
Ni 0.750 0.493 0.497
Ni 0.250 0.007 0.997
Ni 0.000 0.000 0.500
Ni 0.500 0.000 0.500
Ni 0.750 0.738 0.114
Ni 0.000 0.500 0.000
B 0.250 0.277 0.135
B 0.250 0.777 0.365
B 0.750 0.723 0.865
B 0.750 0.223 0.635
B 0.750 0.272 0.144
B 0.250 0.728 0.856
B 0.750 0.772 0.356
B 0.250 0.228 0.644
O 0.494 0.888 0.077
O 0.750 0.149 0.734
O 0.250 0.154 0.545
O 0.750 0.846 0.455
O 0.750 0.848 0.261
O 0.506 0.112 0.923
O 0.250 0.152 0.739
O 0.504 0.897 0.644
O 0.250 0.630 0.361
O 0.250 0.654 0.955
O 0.750 0.370 0.639
O 0.006 0.388 0.423
O 0.750 0.870 0.861
O 0.994 0.112 0.923
O 0.496 0.603 0.144
O 0.506 0.612 0.577
O 0.496 0.103 0.356
O 0.750 0.348 0.239
O 0.996 0.397 0.856
O 0.004 0.103 0.356
O 0.750 0.124 0.144
O 0.750 0.147 0.540
O 0.750 0.346 0.045
O 0.250 0.376 0.644
O 0.250 0.130 0.139
O 0.494 0.388 0.423
O 0.250 0.851 0.266
O 0.006 0.888 0.077
O 0.004 0.603 0.144
O 0.996 0.897 0.644
O 0.750 0.624 0.356
O 0.250 0.353 0.040
O 0.250 0.853 0.460
O 0.504 0.397 0.856
O 0.250 0.876 0.856
O 0.250 0.351 0.234
O 0.994 0.612 0.577
O 0.250 0.652 0.761
O 0.750 0.649 0.766
O 0.750 0.647 0.960



[3]
Material: Ho2NiB4O10
Method: DFT, GGA+U
State: optimized geometry

Unit cell a=7.271 b=4.540 c=9.417 alpha=88.74 beta=90.00 gamma=90.00
Element x y z (fractional)
Ho 0.399 0.004 0.835
Ho 0.899 0.996 0.665
Ho 0.101 0.004 0.335
Ho 0.601 0.996 0.165
Ni 0.000 0.000 0.000
Ni 0.500 0.000 0.500
B 0.265 0.529 0.085
B 0.765 0.471 0.415
B 0.735 0.471 0.915
B 0.235 0.529 0.585
B 0.596 0.535 0.661
B 0.096 0.465 0.839
B 0.404 0.465 0.339
B 0.904 0.535 0.161
O 0.404 0.778 0.333
O 0.596 0.222 0.667
O 0.092 0.679 0.143
O 0.592 0.321 0.357
O 0.908 0.321 0.857
O 0.096 0.778 0.833
O 0.793 0.666 0.038
O 0.293 0.334 0.462
O 0.207 0.334 0.962
O 0.707 0.666 0.538
O 0.830 0.672 0.295
O 0.330 0.328 0.205
O 0.170 0.328 0.705
O 0.670 0.672 0.795
O 0.109 0.751 0.539
O 0.609 0.249 0.961
O 0.891 0.249 0.461
O 0.391 0.751 0.039
O 0.408 0.679 0.643
O 0.904 0.222 0.167



[4]
Material: Mn3B7IO13
Method: DFT, GGA+U
State: optimized geometry

Output
The value obtained for the excess energy over the best structure of this formula in the dataset is 5 meV per atom.

Unit cell a=8.799 b=8.799 c=8.799 alpha=60.00 beta=60.00 gamma=60.00
Element x y z (fractional)
Mn 0.500 0.000 0.000
Mn 0.500 0.500 0.000
Mn 0.000 0.500 0.000
Mn 0.000 0.500 0.500
Mn 0.000 0.000 0.500
Mn 0.500 0.000 0.500
B 0.080 0.080 0.761
B 0.761 0.080 0.080
B 0.261 0.580 0.580
B 0.580 0.580 0.261
B 0.250 0.250 0.750
B 0.250 0.750 0.250
B 0.750 0.250 0.750
B 0.580 0.580 0.580
B 0.750 0.250 0.250
B 0.750 0.750 0.250
B 0.580 0.261 0.580
B 0.080 0.761 0.080
B 0.080 0.080 0.080
B 0.250 0.750 0.750
I 0.250 0.250 0.250
I 0.750 0.750 0.750
O 0.704 0.251 0.936
O 0.500 0.500 0.500
O 0.936 0.109 0.704
O 0.436 0.751 0.204
O 0.936 0.251 0.109
O 0.000 0.000 0.000
O 0.609 0.436 0.204
O 0.204 0.751 0.609
O 0.204 0.436 0.751
O 0.251 0.704 0.109
O 0.609 0.204 0.751
O 0.436 0.204 0.609
O 0.936 0.704 0.251
O 0.109 0.251 0.704
O 0.751 0.436 0.609
O 0.204 0.609 0.436
O 0.751 0.204 0.436
O 0.704 0.936 0.109
O 0.436 0.609 0.751
O 0.751 0.609 0.204
O 0.704 0.109 0.251
O 0.251 0.109 0.936
O 0.609 0.751 0.436
O 0.109 0.704 0.936
O 0.251 0.936 0.704
O 0.109 0.936 0.251



[5]
Material: Mn3B7IO13
Method: DFT, GGA+U
State: optimized geometry

Output
The value obtained for the excess energy over the best structure of this formula in the dataset is 0 meV per atom.

Unit cell a=8.800 b=8.863 c=12.499 alpha=90.00 beta=90.00 gamma=90.00
Element x y z (fractional)
Mn 0.748 0.242 0.245
Mn 0.252 0.758 0.745
Mn 0.252 0.742 0.245
Mn 0.748 0.258 0.745
Mn 0.979 0.499 0.014
Mn 0.021 0.501 0.514
Mn 0.021 0.999 0.014
Mn 0.979 0.001 0.514
Mn 0.480 0.502 0.510
Mn 0.520 0.002 0.510
Mn 0.520 0.498 0.010
Mn 0.480 0.998 0.010
B 0.503 0.999 0.758
B 0.097 0.258 0.180
B 0.903 0.742 0.680
B 0.903 0.758 0.180
B 0.097 0.242 0.680
B 0.250 0.406 0.331
B 0.750 0.594 0.831
B 0.750 0.906 0.331
B 0.250 0.094 0.831
B 0.599 0.743 0.679
B 0.401 0.257 0.179
B 0.401 0.243 0.679
B 0.599 0.757 0.179
B 0.750 0.950 0.858
B 0.250 0.050 0.358
B 0.250 0.450 0.858
B 0.503 0.501 0.258
B 0.497 0.499 0.758
B 0.497 0.001 0.258
B 0.750 0.550 0.358
B 0.753 0.743 0.506
B 0.247 0.257 0.006
B 0.247 0.243 0.506
B 0.753 0.757 0.006
B 0.003 0.002 0.260
B 0.997 0.998 0.760
B 0.997 0.502 0.260
B 0.003 0.498 0.760
I 0.749 0.249 0.510
I 0.251 0.751 0.010
I 0.251 0.749 0.510
I 0.749 0.251 0.010
O 0.055 0.097 0.170
O 0.406 0.044 0.848
O 0.594 0.956 0.348
O 0.594 0.544 0.848
O 0.406 0.456 0.348
O 0.093 0.462 0.859
O 0.907 0.538 0.359
O 0.907 0.962 0.859
O 0.093 0.038 0.359
O 0.463 0.090 0.663
O 0.537 0.910 0.163
O 0.537 0.590 0.663
O 0.463 0.410 0.163
O 0.055 0.403 0.670
O 0.945 0.597 0.170
O 0.945 0.903 0.670
O 0.750 0.775 0.246
O 0.250 0.225 0.746
O 0.250 0.275 0.246
O 0.750 0.725 0.746
O 0.667 0.466 0.285
O 0.333 0.534 0.785
O 0.333 0.966 0.285
O 0.667 0.034 0.785
O 0.677 0.620 0.442
O 0.323 0.380 0.942
O 0.323 0.120 0.442
O 0.677 0.880 0.942
O 0.842 0.030 0.285
O 0.158 0.970 0.785
O 0.158 0.530 0.285
O 0.842 0.470 0.785
O 0.638 0.688 0.076
O 0.362 0.312 0.576
O 0.362 0.188 0.076
O 0.638 0.812 0.576
O 0.024 0.841 0.234
O 0.976 0.159 0.734
O 0.976 0.341 0.234
O 0.024 0.659 0.734
O 0.817 0.858 0.433
O 0.183 0.142 0.933
O 0.183 0.358 0.433
O 0.817 0.642 0.933
O 0.875 0.678 0.573
O 0.513 0.336 0.736
O 0.513 0.164 0.236
O 0.487 0.836 0.736
O 0.875 0.822 0.073
O 0.125 0.178 0.573
O 0.125 0.322 0.073
O 0.487 0.664 0.236



[6]
Material: Ni3B7IO13
Method: DFT, GGA+U
State: optimized geometry

Unit cell a=8.597 b=8.597 c=8.597 alpha=60.00 beta=60.00 gamma=60.00
Element x y z (fractional)
Ni 0.500 0.000 0.000
Ni 0.000 0.500 0.000
Ni 0.500 0.000 0.500
Ni 0.500 0.500 0.000
Ni 0.000 0.000 0.500
Ni 0.000 0.500 0.500
B 0.250 0.750 0.250
B 0.250 0.750 0.750
B 0.750 0.250 0.250
B 0.750 0.750 0.250
B 0.250 0.250 0.750
B 0.750 0.250 0.750
B 0.080 0.080 0.080
B 0.259 0.580 0.580
B 0.580 0.259 0.580
B 0.580 0.580 0.259
B 0.080 0.759 0.080
B 0.080 0.080 0.759
B 0.759 0.080 0.080
B 0.580 0.580 0.580
I 0.250 0.250 0.250
I 0.750 0.750 0.750
O 0.000 0.000 0.000
O 0.500 0.500 0.500
O 0.101 0.936 0.259
O 0.204 0.759 0.601
O 0.759 0.204 0.436
O 0.436 0.759 0.204
O 0.204 0.601 0.436
O 0.759 0.601 0.204
O 0.436 0.204 0.601
O 0.259 0.101 0.936
O 0.936 0.259 0.101
O 0.101 0.704 0.936
O 0.101 0.259 0.704
O 0.936 0.704 0.259
O 0.704 0.101 0.259
O 0.704 0.936 0.101
O 0.259 0.936 0.704
O 0.936 0.101 0.704
O 0.259 0.704 0.101
O 0.704 0.259 0.936
O 0.601 0.204 0.759
O 0.601 0.436 0.204
O 0.204 0.436 0.759
O 0.601 0.759 0.436
O 0.436 0.601 0.759
O 0.759 0.436 0.601



| no. | volume (Å³ per atom) | calculated formation energy (eV/atom) |
| --- | --- | --- |
| 1 | 12.923 | -2.619 |
| 2 | 9.986 | -2.152 |
| 3 | 9.142 | -3.087 |
| 4 | 10.037 | -2.582 |
| 5 | 10.155 | -2.586 |
| 6 | 9.359 | -2.346 |